First-principles (GGA-PBE) data for RbF3 after structural relaxation, as listed in Materials Project.

Values from the calculation:
Total moment   0.00 μB per formula unit
VASP energy   -50.365 eV for the cell shown
Formation energy   -7.3 eV per formula unit
Calculated volume   19.311 Å³/atom

Structure (POSCAR):
```
RbF3
1.0
4.643 0.000 0.000
0.000 6.888 0.000
-0.183 0.000 9.662
Rb F
4 12
direct
0.071 0.000 0.129
0.397 0.031 0.624
0.603 0.531 0.376
0.929 0.500 0.871
0.018 0.901 0.832
0.036 0.811 0.428
0.238 0.470 0.619
0.250 0.567 0.129
0.480 0.230 0.910
0.491 0.131 0.330
0.509 0.631 0.670
0.520 0.730 0.090
0.750 0.067 0.871
0.762 0.970 0.381
0.964 0.311 0.572
0.982 0.401 0.168
```

First-principles (GGA-PBE) data for La6TaGa11O28 after structural relaxation, as listed in Materials Project.

Values from the calculation:
Total moment   0.00 μB per formula unit
VASP energy   -328.861 eV for the cell shown
Formation energy   -134.8 eV per formula unit
Energy above the most stable polymorph in this dataset   0 meV/atom
Calculated volume   13.498 Å³/atom

Structure (POSCAR):
```
La6TaGa11O28
1.0
8.872 -4.161 0.000
8.872 4.161 0.000
-6.041 0.000 8.410
La Ta Ga O
6 1 11 28
direct
0.000 0.000 0.000
0.141 0.428 0.785
0.150 0.431 0.290
0.569 0.850 0.710
0.572 0.859 0.215
0.990 0.010 0.500
0.570 0.430 0.000
0.235 0.096 0.931
0.239 0.097 0.433
0.329 0.670 0.744
0.330 0.671 0.256
0.570 0.189 0.134
0.570 0.430 0.500
0.571 0.189 0.625
0.811 0.429 0.375
0.811 0.430 0.866
0.903 0.761 0.567
0.904 0.765 0.069
0.025 0.284 0.003
0.029 0.283 0.505
0.111 0.741 0.577
0.116 0.739 0.079
0.236 0.099 0.757
0.238 0.094 0.255
0.259 0.889 0.423
0.261 0.884 0.921
0.350 0.504 0.307
0.350 0.510 0.814
0.423 0.118 0.119
0.425 0.121 0.622
0.425 0.355 0.510
0.430 0.350 0.006
0.490 0.650 0.186
0.496 0.650 0.693
0.645 0.575 0.490
0.650 0.570 0.994
0.710 0.209 0.843
0.715 0.210 0.342
0.716 0.975 0.997
0.717 0.971 0.495
0.790 0.285 0.658
0.791 0.290 0.157
0.879 0.575 0.378
0.882 0.577 0.881
0.901 0.764 0.243
0.906 0.762 0.745
```

First-principles (GGA-PBE) data for RbSc5Te8 after structural relaxation, as listed in Materials Project.

Values from the calculation:
VASP energy   -75.102 eV for the cell shown
Formation energy   -20.7 eV per formula unit
Calculated volume   32.258 Å³/atom

Structure (POSCAR):
```
RbSc5Te8
1.0
10.780 -2.089 0.000
10.780 2.089 0.000
-2.586 0.000 10.027
Rb Sc Te
1 5 8
direct
0.000 0.000 0.000
0.156 0.156 0.478
0.206 0.206 0.844
0.500 0.500 0.500
0.794 0.794 0.156
0.844 0.844 0.522
0.075 0.075 0.665
0.262 0.262 0.342
0.335 0.335 0.003
0.415 0.415 0.684
0.585 0.585 0.316
0.665 0.665 0.997
0.738 0.738 0.658
0.925 0.925 0.335
```

First-principles (GGA-PBE) data for Li3InO3 after structural relaxation, as listed in Materials Project.

Values from the calculation:
VASP energy   -142.509 eV for the cell shown
Formation energy   -14.4 eV per formula unit
Calculated volume   10.516 Å³/atom

Structure (POSCAR):
```
Li3InO3
1.0
5.709 0.000 0.000
-2.854 4.944 0.000
0.000 0.000 10.433
Li In O
12 4 12
direct
0.054 0.371 0.071
0.054 0.683 0.429
0.317 0.371 0.429
0.317 0.946 0.071
0.371 0.054 0.571
0.371 0.317 0.929
0.629 0.683 0.071
0.629 0.946 0.429
0.683 0.054 0.929
0.683 0.629 0.571
0.946 0.317 0.571
0.946 0.629 0.929
0.000 0.000 0.250
0.000 0.000 0.750
0.333 0.667 0.750
0.667 0.333 0.250
0.041 0.338 0.877
0.041 0.703 0.623
0.297 0.338 0.623
0.297 0.959 0.877
0.338 0.041 0.377
0.338 0.297 0.123
0.662 0.703 0.877
0.662 0.959 0.623
0.703 0.041 0.123
0.703 0.662 0.377
0.959 0.297 0.377
0.959 0.662 0.123
```

First-principles (GGA-PBE) data for DyCdNi4 after structural relaxation, as listed in Materials Project.

Values from the calculation:
VASP energy   -30.781 eV for the cell shown
Formation energy   -2.1 eV per formula unit
Calculated volume   14.410 Å³/atom

Structure (POSCAR):
```
DyCdNi4
1.0
0.000 3.510 3.510
3.510 0.000 3.510
3.510 3.510 0.000
Dy Cd Ni
1 1 4
direct
0.000 0.000 0.000
0.750 0.750 0.750
0.376 0.376 0.376
0.376 0.376 0.872
0.376 0.872 0.376
0.872 0.376 0.376
```

First-principles (GGA-PBE) data for Ba2YCu3O6F after structural relaxation, as listed in Materials Project.

Values from the calculation:
Total moment   0.03 μB per formula unit
VASP energy   -79.443 eV for the cell shown
Formation energy   -29.8 eV per formula unit
Calculated volume   14.088 Å³/atom

Structure (POSCAR):
```
Ba2YCu3O6F
1.0
3.826 0.000 0.000
0.000 3.996 0.000
0.000 0.000 11.979
Ba Y Cu O F
2 1 3 6 1
direct
0.000 0.000 0.193
0.000 0.000 0.807
0.000 0.000 0.500
0.500 0.500 0.000
0.500 0.500 0.358
0.500 0.500 0.642
0.000 0.500 0.382
0.000 0.500 0.618
0.500 0.000 0.377
0.500 0.000 0.623
0.500 0.500 0.157
0.500 0.500 0.843
0.500 0.000 0.000
```

First-principles (GGA-PBE) data for ZnSn2O4 after structural relaxation, as listed in Materials Project.

Values from the calculation:
Total moment   0.00 μB per formula unit
VASP energy   -310.223 eV for the cell shown
Formation energy   -12.5 eV per formula unit
Energy above the most stable polymorph in this dataset   0 meV/atom
Calculated volume   15.335 Å³/atom

Structure (POSCAR):
```
ZnSn2O4
1.0
5.406 -3.173 0.000
5.406 3.173 0.000
-4.450 0.000 25.033
Zn Sn O
8 16 32
direct
0.000 0.000 0.000
0.002 0.002 0.589
0.115 0.115 0.900
0.239 0.239 0.333
0.252 0.252 0.789
0.486 0.486 0.529
0.728 0.728 0.260
0.866 0.866 0.155
0.202 0.202 0.176
0.219 0.730 0.274
0.250 0.753 0.793
0.375 0.375 0.649
0.464 0.464 0.940
0.486 0.983 0.534
0.489 0.994 0.035
0.510 0.510 0.123
0.612 0.612 0.389
0.725 0.725 0.706
0.730 0.219 0.274
0.753 0.250 0.793
0.776 0.776 0.883
0.957 0.957 0.445
0.983 0.486 0.534
0.994 0.489 0.035
0.044 0.573 0.218
0.047 0.047 0.231
0.068 0.068 0.753
0.075 0.572 0.748
0.122 0.625 0.108
0.141 0.141 0.063
0.173 0.645 0.588
0.184 0.184 0.587
0.299 0.812 0.489
0.300 0.300 0.494
0.321 0.864 0.965
0.343 0.343 0.008
0.401 0.941 0.849
0.402 0.885 0.330
0.415 0.415 0.323
0.435 0.435 0.834
0.545 0.545 0.238
0.572 0.075 0.748
0.573 0.044 0.218
0.573 0.573 0.752
0.625 0.122 0.108
0.643 0.643 0.063
0.645 0.173 0.588
0.665 0.665 0.572
0.808 0.808 0.493
0.812 0.299 0.489
0.826 0.826 0.003
0.864 0.321 0.965
0.885 0.402 0.330
0.896 0.896 0.311
0.941 0.401 0.849
0.947 0.947 0.844
```

First-principles (GGA-PBE) data for Er7Te2Pd2 after structural relaxation, as listed in Materials Project.

Values from the calculation:
Total moment   0.01 μB per formula unit
VASP energy   -57.849 eV for the cell shown
Formation energy   -9.2 eV per formula unit
Calculated volume   26.913 Å³/atom

Structure (POSCAR):
```
Er7Te2Pd2
1.0
-1.967 7.807 4.819
1.967 -7.807 4.819
1.967 7.807 -4.819
Er Te Pd
7 2 2
direct
0.000 0.000 0.000
0.060 0.377 0.683
0.091 0.734 0.357
0.378 0.734 0.643
0.456 0.585 0.871
0.694 0.377 0.317
0.714 0.585 0.129
0.338 0.338 0.000
0.737 0.237 0.500
0.310 0.072 0.237
0.835 0.072 0.763
```